Compound: Si6As2H36C12O3
Source: the Materials Project database
Functional: PBE
Structure: relaxed

Calculated values
Space-group type: Fdd2 (43)
Energy relative to the elements in eV per atom: -0.428
Crystal system: orthorhombic
Theoretical density in g/cm³: 1.20

Lattice parameters (Å, degrees): 34.649 10.143 35.410 77.44 16.60 85.96
Sites, in units of the cell vectors:
Si (0.026, 0.474, 0.065)
Si (0.035, 0.620, 0.545)
Si (0.112, 0.504, 0.071)
Si (0.156, 0.613, 0.516)
Si (0.179, 0.936, 0.138)
Si (0.185, 0.815, 0.224)
Si (0.219, 0.906, 0.849)
Si (0.225, 0.401, 0.344)
Si (0.304, 0.937, 0.856)
Si (0.347, 0.394, 0.313)
Si (0.394, 0.347, 0.946)
Si (0.401, 0.225, 0.031)
Si (0.450, 0.705, 0.630)
Si (0.474, 0.026, 0.435)
Si (0.504, 0.112, 0.314)
Si (0.534, 0.734, 0.637)
Si (0.613, 0.156, 0.716)
Si (0.620, 0.035, 0.800)
Si (0.705, 0.450, 0.215)
Si (0.734, 0.534, 0.094)
Si (0.815, 0.185, 0.776)
Si (0.906, 0.219, 0.025)
Si (0.936, 0.179, 0.746)
Si (0.937, 0.304, 0.903)
As (0.186, 0.393, 0.514)
As (0.205, 0.685, 0.845)
As (0.343, 0.736, 0.857)
As (0.393, 0.186, 0.907)
As (0.405, 0.986, 0.045)
As (0.685, 0.205, 0.264)
As (0.736, 0.343, 0.064)
As (0.986, 0.405, 0.565)
H (0.001, 0.940, 0.256)
H (0.005, 0.655, 0.454)
H (0.007, 0.098, 0.842)
H (0.015, 0.801, 0.143)
H (0.018, 0.674, 0.835)
H (0.020, 0.978, 0.686)
H (0.021, 0.978, 0.048)
H (0.031, 0.741, 0.658)
H (0.033, 0.269, 0.032)
H (0.043, 0.228, 0.148)
H (0.069, 0.263, 0.927)
H (0.098, 0.007, 0.054)
H (0.100, 0.444, 0.869)
H (0.102, 0.669, 0.207)
H (0.106, 0.563, 0.282)
H (0.107, 0.208, 0.235)
H (0.109, 0.906, 0.090)
H (0.111, 0.113, 0.474)
H (0.113, 0.111, 0.302)
H (0.131, 0.170, 0.403)
H (0.136, 0.689, 0.595)
H (0.139, 0.456, 0.656)
H (0.154, 0.578, 0.673)
H (0.160, 0.354, 0.141)
H (0.170, 0.131, 0.295)
H (0.170, 0.326, 0.938)
H (0.186, 0.345, 0.772)
H (0.195, 0.326, 0.033)
H (0.196, 0.408, 0.152)
H (0.202, 0.297, 0.229)
H (0.202, 0.968, 0.687)
H (0.208, 0.107, 0.449)
H (0.210, 0.823, 0.322)
H (0.217, 0.803, 0.055)
H (0.218, 0.584, 0.217)
H (0.223, 0.443, 0.621)
H (0.228, 0.043, 0.581)
H (0.237, 0.350, 0.943)
H (0.237, 0.897, 0.339)
H (0.263, 0.069, 0.741)
H (0.269, 0.033, 0.666)
H (0.297, 0.202, 0.272)
H (0.307, 0.780, 0.013)
H (0.312, 0.683, 0.080)
H (0.319, 0.780, 0.256)
H (0.323, 0.509, 0.181)
H (0.326, 0.170, 0.567)
H (0.326, 0.195, 0.447)
H (0.337, 0.740, 0.575)
H (0.345, 0.186, 0.697)
H (0.346, 0.893, 0.312)
H (0.350, 0.237, 0.470)
H (0.354, 0.160, 0.344)
H (0.362, 0.849, 0.435)
H (0.364, 0.796, 0.595)
H (0.376, 0.438, 0.692)
H (0.381, 0.663, 0.150)
H (0.408, 0.196, 0.243)
H (0.415, 0.777, 0.232)
H (0.426, 0.800, 0.271)
H (0.438, 0.376, 0.494)
H (0.443, 0.223, 0.713)
H (0.444, 0.100, 0.587)
H (0.447, 0.994, 0.310)
H (0.456, 0.139, 0.750)
H (0.472, 0.582, 0.557)
H (0.478, 0.553, 0.064)
H (0.487, 0.508, 0.301)
H (0.500, 0.594, 0.794)
H (0.508, 0.487, 0.704)
H (0.509, 0.323, 0.987)
H (0.521, 0.805, 0.421)
H (0.537, 0.629, 0.807)
H (0.546, 0.949, 0.742)
H (0.553, 0.478, 0.905)
H (0.558, 0.756, 0.874)
H (0.561, 0.581, 0.364)
H (0.563, 0.106, 0.048)
H (0.564, 0.934, 0.230)
H (0.577, 0.655, 0.096)
H (0.578, 0.154, 0.595)
H (0.581, 0.561, 0.494)
H (0.582, 0.472, 0.388)
H (0.584, 0.218, 0.981)
H (0.592, 0.680, 0.219)
H (0.594, 0.500, 0.111)
H (0.604, 0.994, 0.470)
H (0.605, 0.928, 0.427)
H (0.629, 0.537, 0.027)
H (0.655, 0.005, 0.886)
H (0.655, 0.577, 0.672)
H (0.655, 0.670, 0.114)
H (0.663, 0.381, 0.806)
H (0.669, 0.102, 0.022)
H (0.670, 0.655, 0.561)
H (0.674, 0.018, 0.473)
H (0.675, 0.902, 0.913)
H (0.680, 0.592, 0.509)
H (0.683, 0.312, 0.924)
H (0.689, 0.136, 0.580)
H (0.693, 0.862, 0.778)
H (0.723, 0.911, 0.353)
H (0.740, 0.337, 0.348)
H (0.741, 0.031, 0.570)
H (0.747, 0.979, 0.450)
H (0.756, 0.558, 0.812)
H (0.756, 0.886, 0.669)
H (0.776, 0.948, 0.139)
H (0.777, 0.415, 0.576)
H (0.780, 0.307, 0.900)
H (0.780, 0.319, 0.646)
H (0.796, 0.364, 0.245)
H (0.800, 0.426, 0.503)
H (0.800, 0.938, 0.357)
H (0.801, 0.015, 0.042)
H (0.803, 0.217, 0.924)
H (0.805, 0.521, 0.254)
H (0.815, 0.895, 0.888)
H (0.823, 0.210, 0.645)
H (0.829, 0.996, 0.729)
H (0.847, 0.955, 0.119)
H (0.849, 0.362, 0.355)
H (0.862, 0.693, 0.668)
H (0.886, 0.756, 0.689)
H (0.893, 0.346, 0.450)
H (0.895, 0.815, 0.401)
H (0.897, 0.237, 0.527)
H (0.902, 0.675, 0.510)
H (0.906, 0.109, 0.896)
H (0.911, 0.723, 0.013)
H (0.928, 0.605, 0.040)
H (0.934, 0.564, 0.272)
H (0.938, 0.800, 0.904)
H (0.940, 0.001, 0.803)
H (0.948, 0.776, 0.137)
H (0.949, 0.546, 0.763)
H (0.955, 0.847, 0.080)
H (0.968, 0.202, 0.144)
H (0.978, 0.020, 0.316)
H (0.978, 0.021, 0.953)
H (0.979, 0.747, 0.824)
H (0.994, 0.447, 0.249)
H (0.994, 0.604, 0.931)
H (0.996, 0.829, 0.445)
C (0.006, 0.737, 0.427)
C (0.016, 0.873, 0.048)
C (0.053, 0.302, 0.041)
C (0.058, 0.649, 0.646)
C (0.081, 0.329, 0.886)
C (0.113, 0.909, 0.055)
C (0.131, 0.461, 0.694)
C (0.151, 0.337, 0.046)
C (0.187, 0.202, 0.377)
C (0.195, 0.327, 0.137)
C (0.202, 0.187, 0.234)
C (0.204, 0.783, 0.099)
C (0.209, 0.646, 0.197)
C (0.217, 0.796, 0.346)
C (0.302, 0.053, 0.604)
C (0.327, 0.195, 0.341)
C (0.329, 0.081, 0.704)
C (0.337, 0.151, 0.467)
C (0.355, 0.787, 0.313)
C (0.364, 0.546, 0.169)
C (0.420, 0.823, 0.513)
C (0.461, 0.131, 0.714)
C (0.467, 0.958, 0.322)
C (0.471, 0.557, 0.591)
C (0.536, 0.556, 0.789)
C (0.546, 0.364, 0.921)
C (0.556, 0.536, 0.119)
C (0.557, 0.471, 0.381)
C (0.603, 0.604, 0.601)
C (0.604, 0.603, 0.192)
C (0.610, 0.904, 0.454)
C (0.646, 0.209, 0.948)
C (0.649, 0.058, 0.647)
C (0.659, 0.869, 0.779)
C (0.705, 0.937, 0.463)
C (0.737, 0.006, 0.830)
C (0.783, 0.204, 0.913)
C (0.787, 0.355, 0.545)
C (0.796, 0.217, 0.640)
C (0.823, 0.420, 0.244)
C (0.869, 0.659, 0.693)
C (0.873, 0.016, 0.063)
C (0.904, 0.610, 0.033)
C (0.909, 0.113, 0.923)
C (0.928, 0.997, 0.783)
C (0.937, 0.705, 0.895)
C (0.958, 0.467, 0.253)
C (0.997, 0.928, 0.292)
O (0.041, 0.511, 0.095)
O (0.049, 0.593, 0.579)
O (0.155, 0.897, 0.209)
O (0.307, 0.948, 0.805)
O (0.311, 0.445, 0.302)
O (0.445, 0.311, 0.943)
O (0.471, 0.671, 0.657)
O (0.511, 0.041, 0.353)
O (0.593, 0.049, 0.779)
O (0.671, 0.471, 0.201)
O (0.897, 0.155, 0.739)
O (0.948, 0.307, 0.939)